(1)
## Lu6FeBi2 (r²SCAN)

Data for a relaxed structure of Lu6FeBi2.

Cell lengths 8.111, 8.111, 4.120 Å; angles 90.00, 90.00, 120.00 degrees
Fractional coordinates of all 9 atoms:
1 Lu 0.000 0.233 0.500
2 Lu 0.614 0.000 0.000
3 Lu 0.000 0.614 0.000
4 Lu 0.386 0.386 0.000
5 Lu 0.767 0.767 0.500
6 Lu 0.233 0.000 0.500
7 Bi 0.667 0.333 0.500
8 Bi 0.333 0.667 0.500
9 Fe 0.000 0.000 0.000

- ΔH_f (0 K) (meV/atom) = -457

(2)
## TmMg (r²SCAN)

Data for a relaxed structure of TmMg.

Cell lengths 3.747, 3.747, 3.747 Å; angles 90.00, 90.00, 90.00 degrees
Fractional coordinates of all 2 atoms:
1 Mg 0.000 0.000 0.000
2 Tm 0.500 0.500 0.500

- ΔH_f (0 K) (meV/atom) = -75

(3)
## SrC2 (r²SCAN)

Data for a relaxed structure of SrC2.

Cell lengths 4.167, 4.167, 7.789 Å; angles 74.97, 74.97, 64.25 degrees
Fractional coordinates of all 6 atoms:
1 C 0.128 0.422 0.442
2 C 0.422 0.128 0.942
3 C 0.578 0.872 0.058
4 C 0.872 0.578 0.558
5 Sr 0.821 0.179 0.250
6 Sr 0.179 0.821 0.750

- ΔH_f (0 K) (meV/atom) = -127

ΔH_f (0 K) of number 2 (TmMg)?
-75 meV/atom

Look up the ΔH_f (0 K) of the first one.
-457 meV/atom